# 1
This record from the Materials Project database describes an optimized crystal structure of UAlRh. The functional is GGA-PBE.

a b c (Å): 6.8197 6.8197 4.1818
angles (deg): 90.00 90.00 120.00
Atoms (fractional coordinates):
1 U 0.5741 0.0000 0.5000
2 U 0.4259 0.4259 0.5000
3 U 0.0000 0.5741 0.5000
4 Al 0.2345 0.0000 0.0000
5 Al 0.7655 0.7655 0.0000
6 Al 0.0000 0.2345 0.0000
7 Rh 0.0000 0.0000 0.5000
8 Rh 0.3333 0.6667 0.0000
9 Rh 0.6667 0.3333 0.0000

Results
The formation energy comes out at -560 meV per atom. The spin magnetization comes out at 2.0 μB/f.u. The crystal system is hexagonal.

---

# 2
This record from the Materials Project database describes an optimized crystal structure of Y2Al9Rh3. The functional is GGA-PBE.

a b c (Å): 7.5626 7.5626 9.4887
angles (deg): 90.00 90.00 119.46
Atoms (fractional coordinates):
1 Y 0.9949 0.6696 0.2500
2 Y 0.0051 0.3304 0.7500
3 Y 0.6696 0.9949 0.2500
4 Y 0.3304 0.0051 0.7500
5 Al 0.1270 0.1270 0.2500
6 Al 0.8730 0.8730 0.7500
7 Al 0.0017 0.3348 0.0734
8 Al 0.9983 0.6652 0.9266
9 Al 0.9983 0.6652 0.5734
10 Al 0.3348 0.0017 0.4266
11 Al 0.0017 0.3348 0.4266
12 Al 0.6652 0.9983 0.5734
13 Al 0.6652 0.9983 0.9266
14 Al 0.3348 0.0017 0.0734
15 Al 0.3338 0.3338 0.5521
16 Al 0.6662 0.6662 0.4479
17 Al 0.6662 0.6662 0.0521
18 Al 0.3338 0.3338 0.9479
19 Al 0.3378 0.5475 0.2500
20 Al 0.6622 0.4525 0.7500
21 Al 0.5475 0.3378 0.2500
22 Al 0.4525 0.6622 0.7500
23 Rh 0.6718 0.3282 0.0000
24 Rh 0.3282 0.6718 0.0000
25 Rh 0.3282 0.6718 0.5000
26 Rh 0.6718 0.3282 0.5000
27 Rh 0.0000 0.0000 0.0000
28 Rh 0.0000 0.0000 0.5000

Results
The formation energy comes out at -837 meV per atom. The crystal system is orthorhombic.

---

# 3
This record from the Materials Project database describes an optimized crystal structure of AlZnRh2. The functional is GGA-PBE.

a b c (Å): 4.2664 4.2664 4.2664
angles (deg): 60.00 60.00 60.00
Atoms (fractional coordinates):
1 Al 0.5000 0.5000 0.5000
2 Zn 0.0000 0.0000 0.0000
3 Rh 0.2500 0.2500 0.2500
4 Rh 0.7500 0.7500 0.7500

Results
The formation energy comes out at -789 meV per atom. The crystal system is cubic.

---

# 4
This record from the Materials Project database describes an optimized crystal structure of ZrAlRh2. The functional is GGA-PBE.

a b c (Å): 4.4897 4.4897 4.4897
angles (deg): 60.00 60.00 60.00
Atoms (fractional coordinates):
1 Zr 0.0000 0.0000 0.0000
2 Al 0.5000 0.5000 0.5000
3 Rh 0.2500 0.2500 0.2500
4 Rh 0.7500 0.7500 0.7500

Results
The formation energy comes out at -945 meV per atom. The crystal system is cubic.

---

# 5
This record from the Materials Project database describes an optimized crystal structure of AlRu. The functional is GGA-PBE.

a b c (Å): 3.0055 3.0055 3.0055
angles (deg): 90.00 90.00 90.00
Atoms (fractional coordinates):
1 Al 0.0000 0.0000 0.0000
2 Ru 0.5000 0.5000 0.5000

Results
The formation energy comes out at -673 meV per atom. The crystal system is cubic.

---

# 6
This record from the Materials Project database describes an optimized crystal structure of Sc6Al16Ru7. The functional is GGA-PBE.

a b c (Å): 8.7498 8.7498 8.7498
angles (deg): 60.00 60.00 60.00
Atoms (fractional coordinates):
1 Sc 0.7101 0.7101 0.2899
2 Sc 0.2899 0.7101 0.2899
3 Sc 0.7101 0.2899 0.2899
4 Sc 0.2899 0.2899 0.7101
5 Sc 0.7101 0.2899 0.7101
6 Sc 0.2899 0.7101 0.7101
7 Al 0.8795 0.8795 0.3614
8 Al 0.8795 0.3614 0.8795
9 Al 0.3614 0.8795 0.8795
10 Al 0.8795 0.8795 0.8795
11 Al 0.1205 0.1205 0.6386
12 Al 0.1205 0.6386 0.1205
13 Al 0.6386 0.1205 0.1205
14 Al 0.1205 0.1205 0.1205
15 Al 0.6637 0.6637 0.0088
16 Al 0.6637 0.0088 0.6637
17 Al 0.0088 0.6637 0.6637
18 Al 0.6637 0.6637 0.6637
19 Al 0.3363 0.3363 0.9912
20 Al 0.3363 0.9912 0.3363
21 Al 0.9912 0.3363 0.3363
22 Al 0.3363 0.3363 0.3363
23 Ru 0.0000 0.0000 0.0000
24 Ru 0.0000 0.0000 0.5000
25 Ru 0.5000 0.0000 0.5000
26 Ru 0.0000 0.5000 0.5000
27 Ru 0.5000 0.5000 0.0000
28 Ru 0.0000 0.5000 0.0000
29 Ru 0.5000 0.0000 0.0000

Results
The formation energy comes out at -671 meV per atom. The spin magnetization comes out at 0.0 μB/f.u. The crystal system is cubic.